VASP calculation (GGA-PBE) on RbTiPO5 after structural relaxation.

a = 8.618 Å, b = 9.951 Å, c = 10.311 Å
α = 90.00°, β = 90.00°, γ = 90.00°
Fractional positions:
O  0.639  0.068  0.088
O  0.905  0.146  0.378
O  0.309  0.382  0.247
O  0.659  0.539  0.135
O  0.269  0.168  0.833
O  0.005  0.902  0.484
O  0.874  0.636  0.423
O  0.486  0.345  0.753
O  0.731  0.668  0.167
O  0.095  0.646  0.622
O  0.495  0.902  0.984
O  0.505  0.402  0.016
O  0.361  0.568  0.912
O  0.159  0.356  0.012
O  0.769  0.668  0.667
O  0.014  0.345  0.253
O  0.514  0.845  0.247
O  0.477  0.134  0.637
O  0.231  0.168  0.333
O  0.139  0.568  0.412
O  0.691  0.882  0.753
O  0.995  0.402  0.516
O  0.523  0.634  0.363
O  0.809  0.882  0.253
O  0.374  0.136  0.077
O  0.841  0.539  0.635
O  0.126  0.136  0.577
O  0.023  0.134  0.137
O  0.977  0.634  0.863
O  0.659  0.856  0.488
O  0.626  0.636  0.923
O  0.595  0.146  0.878
O  0.341  0.356  0.512
O  0.841  0.856  0.988
O  0.159  0.039  0.365
O  0.986  0.845  0.747
O  0.341  0.039  0.865
O  0.405  0.646  0.122
O  0.191  0.382  0.747
O  0.861  0.068  0.588
Rb  0.951  0.102  0.848
Rb  0.678  0.393  0.440
Rb  0.822  0.393  0.940
Rb  0.322  0.893  0.560
Rb  0.451  0.602  0.652
Rb  0.049  0.602  0.152
Rb  0.178  0.893  0.060
Rb  0.549  0.102  0.348
Ti  0.814  0.886  0.606
Ti  0.186  0.386  0.394
Ti  0.784  0.746  0.849
Ti  0.284  0.246  0.651
Ti  0.686  0.886  0.106
Ti  0.716  0.746  0.349
Ti  0.314  0.386  0.894
Ti  0.216  0.246  0.151
P  0.595  0.215  0.729
P  0.491  0.058  0.981
P  0.991  0.558  0.519
P  0.009  0.058  0.481
P  0.405  0.715  0.271
P  0.905  0.215  0.229
P  0.509  0.558  0.019
P  0.095  0.715  0.771

Volume (Å³ per atom): 13.816
Total energy after the MP2020 corrections (eV/atom): -7.076
Energy relative to the lowest polymorph listed for this composition (eV/atom): 0.841
DFT formation energy (eV per atom): -2.198

VASP calculation (GGA-PBE) on Rb3Ti3P5O20 after structural relaxation.

a = 6.375 Å, b = 15.085 Å, c = 18.679 Å
α = 90.00°, β = 90.00°, γ = 90.00°
Fractional positions:
O  0.567  0.750  0.653
O  0.955  0.250  0.850
O  0.252  0.897  0.850
O  0.237  0.500  0.750
O  0.262  0.657  0.574
O  0.262  0.841  0.724
O  0.744  0.502  0.023
O  0.912  0.599  0.775
O  0.748  0.103  0.150
O  0.249  0.750  0.932
O  0.252  0.603  0.850
O  0.748  0.897  0.350
O  0.738  0.659  0.224
O  0.751  0.750  0.432
O  0.754  0.164  0.944
O  0.912  0.099  0.725
O  0.738  0.657  0.074
O  0.060  0.125  0.041
O  0.940  0.875  0.959
O  0.940  0.625  0.959
O  0.556  0.625  0.956
O  0.738  0.159  0.276
O  0.955  0.750  0.650
O  0.738  0.343  0.426
O  0.246  0.664  0.056
O  0.237  0.000  0.750
O  0.763  0.500  0.250
O  0.060  0.625  0.459
O  0.252  0.397  0.650
O  0.754  0.336  0.944
O  0.444  0.375  0.044
O  0.912  0.401  0.725
O  0.748  0.397  0.150
O  0.940  0.375  0.541
O  0.744  0.002  0.477
O  0.567  0.250  0.847
O  0.940  0.125  0.541
O  0.249  0.250  0.568
O  0.256  0.998  0.523
O  0.262  0.341  0.776
O  0.556  0.375  0.544
O  0.754  0.836  0.556
O  0.763  0.000  0.250
O  0.088  0.599  0.275
O  0.912  0.901  0.775
O  0.738  0.341  0.276
O  0.256  0.498  0.977
O  0.433  0.250  0.347
O  0.444  0.125  0.044
O  0.252  0.103  0.650
O  0.256  0.502  0.523
O  0.262  0.159  0.776
O  0.246  0.164  0.444
O  0.738  0.841  0.224
O  0.262  0.157  0.926
O  0.744  0.998  0.023
O  0.751  0.250  0.068
O  0.744  0.498  0.477
O  0.262  0.659  0.724
O  0.262  0.343  0.926
O  0.754  0.664  0.556
O  0.060  0.875  0.459
O  0.262  0.843  0.574
O  0.060  0.375  0.041
O  0.045  0.250  0.350
O  0.444  0.625  0.456
O  0.556  0.125  0.544
O  0.556  0.875  0.956
O  0.246  0.836  0.056
O  0.045  0.750  0.150
O  0.246  0.336  0.444
O  0.444  0.875  0.456
O  0.748  0.603  0.350
O  0.256  0.002  0.977
O  0.433  0.750  0.153
O  0.088  0.901  0.275
O  0.088  0.099  0.225
O  0.738  0.843  0.074
O  0.088  0.401  0.225
O  0.738  0.157  0.426
Ti  0.244  0.632  0.953
Ti  0.756  0.132  0.047
Ti  0.255  0.750  0.647
Ti  0.745  0.750  0.147
Ti  0.745  0.250  0.353
Ti  0.756  0.632  0.453
Ti  0.255  0.250  0.853
Ti  0.756  0.868  0.453
Ti  0.244  0.132  0.547
Ti  0.244  0.868  0.953
Ti  0.756  0.368  0.047
Ti  0.244  0.368  0.547
P  0.254  0.899  0.504
P  0.746  0.399  0.496
P  0.254  0.399  0.996
P  0.854  0.404  0.224
P  0.854  0.904  0.276
P  0.757  0.250  0.898
P  0.243  0.250  0.398
P  0.746  0.101  0.496
P  0.243  0.750  0.102
P  0.254  0.601  0.504
P  0.854  0.596  0.276
P  0.146  0.904  0.776
P  0.746  0.601  0.004
P  0.854  0.096  0.224
P  0.146  0.596  0.776
P  0.746  0.899  0.004
P  0.146  0.096  0.724
P  0.757  0.750  0.602
P  0.146  0.404  0.724
P  0.254  0.101  0.996
Rb  0.367  0.972  0.151
Rb  0.633  0.028  0.849
Rb  0.633  0.528  0.651
Rb  0.367  0.472  0.349
Rb  0.340  0.250  0.173
Rb  0.660  0.250  0.673
Rb  0.660  0.750  0.827
Rb  0.367  0.528  0.151
Rb  0.367  0.028  0.349
Rb  0.633  0.472  0.849
Rb  0.633  0.972  0.651
Rb  0.340  0.750  0.327

Volume (Å³ per atom): 14.487
Total energy after the MP2020 corrections (eV/atom): -7.906
DFT formation energy (eV per atom): -2.981

Question: What is the DFT formation energy in the first record?
Answer: -2.198 eV per atom

Question: What is the DFT formation energy in the second record?
Answer: -2.981 eV per atom